Density functional theory data (PBE-GGA) for Li6Ti2S6O after structural relaxation.

Values from the calculation:
Magnetization, μB per atom: 0.000
ΔE_f, eV/atom: -1.693

abc: 9.036 11.540 11.784
angles: 68.63 90.00 90.00
Fractional coordinates of all 60 atoms:
Li1 0.861 0.999 0.896
Li2 0.639 0.999 0.396
Li3 0.979 0.911 0.646
Li4 0.264 0.804 0.936
Li5 0.521 0.911 0.146
Li6 0.236 0.804 0.436
Li7 0.701 0.724 0.576
Li8 0.059 0.603 0.857
Li9 0.672 0.546 0.897
Li10 0.799 0.724 0.076
Li11 0.441 0.603 0.357
Li12 0.828 0.546 0.397
Li13 0.172 0.454 0.603
Li14 0.559 0.397 0.643
Li15 0.201 0.276 0.924
Li16 0.328 0.454 0.103
Li17 0.941 0.397 0.143
Li18 0.299 0.276 0.424
Li19 0.764 0.196 0.564
Li20 0.479 0.089 0.854
Li21 0.736 0.196 0.064
Li22 0.021 0.089 0.354
Li23 0.361 0.001 0.604
Li24 0.139 0.001 0.104
Ti1 0.639 0.828 0.790
Ti2 0.861 0.828 0.290
Ti3 0.391 0.641 0.733
Ti4 0.109 0.641 0.233
Ti5 0.891 0.359 0.767
Ti6 0.609 0.359 0.267
Ti7 0.139 0.172 0.710
Ti8 0.361 0.172 0.210
S1 0.642 0.987 0.609
S2 0.531 0.864 0.949
S3 0.858 0.987 0.109
S4 0.969 0.864 0.449
S5 0.875 0.788 0.852
S6 0.231 0.795 0.722
S7 0.625 0.788 0.352
S8 0.269 0.795 0.222
S9 0.380 0.597 0.562
S10 0.341 0.467 0.889
S11 0.841 0.533 0.611
S12 0.120 0.597 0.062
S13 0.880 0.403 0.938
S14 0.159 0.467 0.389
S15 0.659 0.533 0.111
S16 0.620 0.403 0.438
S17 0.731 0.205 0.778
S18 0.375 0.212 0.648
S19 0.769 0.205 0.278
S20 0.125 0.212 0.148
S21 0.031 0.136 0.551
S22 0.142 0.013 0.891
S23 0.469 0.136 0.051
S24 0.358 0.013 0.391
O1 0.586 0.686 0.755
O2 0.914 0.686 0.255
O3 0.086 0.314 0.745
O4 0.414 0.314 0.245